Record 1
NiB18H22C4 | PBE | relaxed

Structure (POSCAR):
```
NiB18H22C4
1.0
12.348 0.000 0.000
0.000 10.561 0.000
-5.198 0.000 12.570
Ni B H C
4 72 88 16
Cartesian
1.675 0.686 3.212 Ni
-0.924 4.595 9.497 Ni
8.074 5.966 3.073 Ni
5.475 9.875 9.357 Ni
-3.206 7.080 9.675 B
-0.607 8.760 3.390 B
0.583 2.161 1.805 B
-2.016 3.119 8.090 B
-2.136 6.091 8.598 B
0.463 9.749 2.313 B
-1.766 1.457 8.697 B
0.833 3.824 2.412 B
-2.803 6.715 11.356 B
-0.204 9.126 5.071 B
-1.739 7.779 8.915 B
0.860 8.062 2.630 B
-0.850 2.134 7.299 B
1.750 3.146 1.014 B
0.461 7.666 4.306 B
-2.138 8.175 10.591 B
2.199 1.428 1.338 B
-0.400 3.853 7.623 B
-0.415 6.579 8.878 B
2.184 9.262 2.593 B
0.008 1.198 8.557 B
2.607 4.082 2.272 B
-1.141 7.175 11.669 B
1.459 8.666 5.384 B
-0.432 1.913 10.112 B
2.167 3.368 3.827 B
-0.448 7.829 10.164 B
2.151 8.012 3.879 B
0.806 2.548 7.706 B
3.406 2.733 1.421 B
-0.071 6.180 10.649 B
2.529 9.661 4.364 B
3.552 1.373 2.567 B
0.953 3.908 8.852 B
1.204 2.216 9.400 B
3.803 3.065 3.115 B
3.347 7.496 9.455 B
5.946 8.345 3.170 B
6.197 6.653 3.718 B
3.598 9.188 10.003 B
4.621 0.900 8.206 B
7.220 4.381 1.921 B
3.744 7.828 11.149 B
6.343 8.013 4.864 B
4.999 2.548 8.691 B
7.598 2.732 2.406 B
4.982 7.193 8.743 B
7.582 8.648 2.458 B
5.691 1.894 7.186 B
8.290 3.386 0.901 B
4.543 6.479 10.298 B
7.142 9.362 4.013 B
4.965 1.299 9.977 B
7.565 3.981 3.692 B
7.550 6.708 4.947 B
4.951 9.133 11.232 B
9.288 2.386 1.979 B
6.689 2.895 8.264 B
5.400 7.415 11.556 B
7.999 8.426 5.271 B
6.290 2.499 9.940 B
8.889 2.782 3.655 B
7.354 1.435 7.499 B
9.953 3.845 1.214 B
6.317 6.737 10.158 B
8.916 9.104 3.873 B
6.686 0.811 10.256 B
9.286 4.469 3.971 B
9.166 7.441 4.480 B
6.567 8.399 10.765 B
7.757 1.800 9.180 B
10.356 3.480 2.895 B
-0.446 1.723 1.421 H
-3.045 3.557 7.706 H
-2.657 5.762 7.583 H
-0.058 10.079 1.298 H
-0.849 0.501 3.935 H
-3.448 4.779 10.220 H
-0.362 2.328 3.934 H
-2.961 2.952 10.219 H
-2.145 0.352 8.420 H
0.455 4.928 2.135 H
-3.640 6.553 12.180 H
-1.041 9.288 5.895 H
-2.862 1.258 10.432 H
-1.108 1.743 6.195 H
-3.708 3.537 12.480 H
-0.263 4.023 4.147 H
0.787 7.260 1.750 H
-1.812 8.581 8.035 H
0.106 6.573 4.624 H
-2.493 9.268 10.909 H
2.146 0.639 0.442 H
-0.453 4.641 6.727 H
1.007 0.457 5.756 H
-1.592 4.823 12.041 H
0.414 6.627 8.027 H
3.013 9.213 1.742 H
0.306 0.056 8.390 H
2.905 5.224 2.105 H
-0.777 1.386 11.124 H
1.822 3.894 4.839 H
1.644 2.408 6.864 H
4.243 2.873 0.579 H
4.392 7.415 0.215 H
1.793 8.426 6.500 H
3.004 7.176 3.880 H
0.404 8.665 10.165 H
3.311 1.669 4.960 H
0.711 3.611 11.245 H
4.462 0.608 2.532 H
1.863 4.672 8.817 H
0.972 5.865 11.122 H
3.571 9.976 4.837 H
2.327 7.051 9.037 H
4.926 8.790 2.752 H
2.224 1.771 9.818 H
4.823 3.510 3.533 H
3.579 0.584 7.733 H
6.178 4.696 1.448 H
5.287 5.889 3.753 H
2.687 9.952 10.038 H
6.438 6.950 1.325 H
3.839 8.891 7.610 H
6.745 1.895 2.405 H
4.146 3.385 8.690 H
5.357 2.135 6.070 H
2.757 3.145 12.355 H
2.907 7.688 11.991 H
5.506 8.153 5.706 H
5.328 6.666 7.731 H
7.927 9.175 1.446 H
4.244 5.336 10.465 H
6.844 10.505 4.180 H
4.137 1.347 10.828 H
6.736 3.933 4.543 H
8.742 5.737 0.529 H
6.143 10.104 6.814 H
7.603 5.919 5.843 H
5.003 9.921 12.128 H
9.643 1.293 1.661 H
7.043 3.987 7.946 H
8.962 1.979 4.535 H
6.362 3.301 10.820 H
7.413 6.538 8.423 H
10.857 7.023 0.090 H
8.258 8.818 6.375 H
10.012 9.303 2.138 H
8.191 1.273 6.675 H
10.790 4.008 0.390 H
6.695 5.632 10.435 H
9.294 10.208 4.150 H
10.111 7.608 2.351 H
7.512 8.232 8.636 H
10.598 5.781 2.350 H
7.999 10.060 8.635 H
7.207 0.481 11.272 H
9.807 4.799 4.987 H
10.195 7.003 4.864 H
7.595 8.837 11.149 H
-3.077 2.022 9.659 C
-0.478 3.259 3.374 C
-2.676 5.531 10.115 C
-0.077 10.309 3.830 C
-1.537 5.582 11.254 C
1.062 10.259 4.969 C
2.949 1.993 3.981 C
0.349 3.288 10.266 C
6.800 7.273 2.304 C
4.201 8.568 8.589 C
6.088 0.301 7.601 C
8.687 4.979 1.316 C
7.227 0.251 8.740 C
9.826 5.029 2.455 C
7.628 7.302 9.196 C
10.227 8.539 2.911 C
```



Record 2
B8P2H39RhC13 | PBE | relaxed

Structure (POSCAR):
```
B8P2H39RhC13
1.0
16.624 0.000 0.000
0.000 10.286 0.000
-8.470 0.000 15.114
B P H Rh C
32 8 156 4 52
Cartesian
0.524 2.179 2.344 B
-3.711 2.964 9.901 B
0.800 0.400 2.488 B
-3.435 4.743 10.045 B
2.314 2.194 1.225 B
-1.921 2.949 8.782 B
2.341 0.414 1.530 B
-1.894 4.729 9.087 B
1.115 1.506 3.851 B
-3.120 3.637 11.408 B
2.383 0.307 3.317 B
-1.852 4.836 10.874 B
3.407 1.521 2.426 B
-0.828 3.622 9.983 B
2.845 1.760 4.085 B
-1.390 3.383 11.642 B
9.544 6.903 3.472 B
5.309 8.526 11.029 B
8.982 6.663 5.131 B
4.747 8.765 12.688 B
10.006 5.450 4.240 B
5.771 9.979 11.797 B
11.274 6.648 3.706 B
7.039 8.780 11.263 B
10.048 5.557 6.027 B
5.813 9.872 13.584 B
10.075 7.337 6.332 B
5.840 8.092 13.889 B
11.589 5.543 5.069 B
7.354 9.886 12.626 B
11.865 7.322 5.213 B
7.630 8.107 12.770 B
-3.284 0.277 12.092 P
0.951 4.866 4.535 P
-0.246 0.247 9.989 P
3.989 4.896 2.432 P
4.165 5.389 12.682 P
8.400 10.039 5.125 P
7.203 5.420 10.579 P
11.438 10.009 3.022 P
-5.096 0.062 9.647 H
-0.861 5.081 2.090 H
0.449 1.105 0.208 H
-3.786 4.038 7.765 H
-1.124 6.579 3.009 H
-5.359 8.850 10.566 H
-4.748 2.378 9.765 H
-0.513 2.765 2.208 H
-1.808 0.251 4.684 H
-6.043 4.892 12.241 H
-5.376 1.411 11.798 H
-1.141 3.732 4.241 H
-4.244 5.624 10.090 H
-0.009 9.804 2.533 H
-1.347 5.237 5.146 H
-5.582 10.191 12.703 H
1.414 5.996 1.264 H
-2.821 9.432 8.821 H
2.021 7.459 0.458 H
-2.214 7.969 8.015 H
-0.684 7.426 5.385 H
-4.919 8.002 12.942 H
-5.901 5.856 15.044 H
-1.666 9.573 7.487 H
-1.594 2.356 7.792 H
2.641 2.786 0.235 H
0.443 1.471 4.847 H
-3.792 3.672 12.404 H
1.139 7.101 3.649 H
-3.096 8.328 11.206 H
-1.484 5.599 8.374 H
2.751 9.830 0.817 H
-3.564 6.888 13.169 H
0.671 8.541 5.612 H
-3.928 0.313 14.414 H
0.307 4.830 6.857 H
0.494 7.130 6.676 H
-3.741 8.299 14.233 H
-3.427 1.906 13.843 H
0.808 3.237 6.286 H
0.204 0.835 7.720 H
4.439 4.308 0.163 H
3.174 7.155 2.682 H
-1.061 8.273 10.239 H
-1.490 5.837 11.436 H
2.745 9.591 3.879 H
2.319 6.815 4.919 H
-1.916 8.613 12.476 H
4.334 7.031 1.364 H
0.099 8.397 8.921 H
4.599 1.502 2.275 H
0.364 3.641 9.832 H
1.079 1.883 8.815 H
5.314 3.260 1.258 H
3.471 1.911 5.101 H
-0.764 3.232 12.658 H
6.161 6.187 0.640 H
1.926 9.241 8.197 H
2.725 5.571 6.986 H
-1.510 9.857 14.543 H
2.603 0.398 7.438 H
-1.632 4.745 14.995 H
-0.991 1.148 13.901 H
3.244 3.995 6.344 H
6.706 1.039 0.382 H
2.471 4.103 7.939 H
1.522 5.843 9.989 H
5.757 9.585 2.432 H
4.589 5.811 4.571 H
0.354 9.618 12.128 H
5.871 6.072 3.382 H
1.636 9.357 10.939 H
1.020 1.779 12.307 H
5.255 3.364 4.750 H
2.849 0.111 9.172 H
7.084 5.032 1.615 H
1.614 6.657 11.556 H
5.849 8.771 3.999 H
2.305 1.515 11.115 H
6.540 3.628 3.558 H
1.070 5.254 13.499 H
5.305 10.175 5.942 H
2.899 6.921 10.364 H
7.134 8.507 2.807 H
6.518 0.929 4.175 H
2.283 4.214 11.732 H
7.800 0.668 2.986 H
3.565 4.475 10.542 H
2.397 0.700 12.682 H
6.632 4.443 5.125 H
5.683 6.182 7.175 H
1.448 9.246 14.732 H
4.909 6.291 8.769 H
9.144 9.138 1.213 H
9.785 5.541 0.119 H
5.550 9.888 7.676 H
9.664 0.429 0.571 H
5.429 4.714 8.128 H
6.228 1.045 6.917 H
1.993 4.098 14.473 H
8.918 7.054 2.456 H
4.683 8.375 10.013 H
2.839 7.026 13.856 H
7.074 8.403 6.299 H
7.790 6.644 5.282 H
3.555 8.784 12.839 H
8.055 1.888 6.193 H
3.820 3.255 13.750 H
10.070 1.672 2.638 H
5.835 3.471 10.195 H
5.408 0.695 11.235 H
9.643 4.448 3.678 H
9.214 2.013 4.875 H
4.979 3.130 12.432 H
3.715 5.978 14.951 H
7.950 9.450 7.394 H
7.346 7.048 8.828 H
11.581 8.380 1.271 H
11.895 1.987 0.881 H
7.660 3.156 8.438 H
7.847 5.456 8.256 H
12.082 9.972 0.700 H
7.482 1.745 9.502 H
11.718 3.398 1.945 H
5.403 0.456 14.297 H
9.638 4.687 6.740 H
11.249 1.958 3.908 H
7.014 3.185 11.465 H
11.946 6.614 2.710 H
7.711 8.815 10.267 H
5.512 7.499 14.879 H
9.747 7.929 7.322 H
9.820 0.713 7.627 H
14.055 4.430 0.070 H
13.072 2.283 2.172 H
8.837 2.860 9.729 H
10.368 2.316 7.099 H
6.133 2.827 14.655 H
10.975 0.853 6.293 H
6.740 4.289 13.850 H
13.735 0.095 2.411 H
9.500 5.048 9.968 H
8.163 0.482 12.581 H
12.398 4.661 5.024 H
9.295 6.554 10.873 H
13.530 8.875 3.316 H
14.197 5.394 2.873 H
9.962 10.035 10.430 H
8.666 7.521 12.906 H
12.901 7.908 5.349 H
13.512 1.436 4.548 H
9.277 3.707 12.105 H
11.940 6.248 7.349 H
7.705 9.180 14.906 H
9.015 5.205 13.024 H
13.250 10.224 5.467 H
-2.001 1.724 10.637 Rh
2.234 3.419 3.080 Rh
5.920 6.866 12.034 Rh
10.155 8.562 4.477 Rh
-1.340 5.502 2.985 C
-5.575 9.927 10.542 C
-5.105 0.346 11.814 C
-0.870 4.797 4.257 C
1.015 1.254 1.126 C
-3.220 3.888 8.683 C
2.303 6.457 0.810 C
-1.932 8.971 8.367 C
0.382 7.479 5.642 C
-3.853 7.949 13.199 C
1.256 6.690 4.663 C
-2.979 8.739 12.220 C
3.455 6.545 1.813 C
-0.780 8.884 9.370 C
-3.151 0.842 13.843 C
1.084 4.301 6.286 C
0.844 0.829 8.615 C
5.079 4.314 1.058 C
-1.775 0.635 14.474 C
2.460 4.507 6.917 C
2.121 0.025 8.355 C
6.356 5.118 0.798 C
5.175 5.318 3.780 C
0.940 10.110 11.337 C
2.215 6.169 10.777 C
6.450 9.260 3.221 C
1.704 1.026 11.893 C
5.939 4.117 4.336 C
7.214 0.175 3.777 C
2.979 4.967 11.334 C
1.798 5.168 14.316 C
6.033 10.261 6.759 C
5.694 5.778 8.197 C
9.929 9.650 0.640 C
3.075 5.972 14.056 C
7.310 9.457 6.499 C
7.070 5.985 8.828 C
11.305 9.444 1.271 C
8.934 1.402 5.744 C
4.699 3.741 13.301 C
11.133 1.547 2.894 C
6.898 3.596 10.451 C
12.007 2.337 1.915 C
7.772 2.806 9.472 C
10.086 1.314 6.747 C
5.851 3.828 14.304 C
11.374 6.397 6.431 C
7.139 9.031 13.988 C
9.023 5.489 10.857 C
13.258 9.940 3.300 C
13.729 0.359 4.572 C
9.494 4.784 12.129 C
```



| no. | uncorrected energy (eV/atom) | ΔH_f (0 K) (eV per atom) |
| --- | --- | --- |
| 1 | -5.317 | -0.04 |
| 2 | -5.305 | -0.16 |